(1)
Computed, not measured: Mg149Cr after structural relaxation at the PBE level of DFT.

Summary:
total magnetic moment: 3.37 μB/f.u.
crystal system: hexagonal
VASP energy: -1.67 eV/atom

Cell: 15.931 15.931 15.621 Å, 90.00 90.00 120.00°
Element x y z (fractional)
Mg  0.066  0.533  0.500
Mg  0.667  0.734  0.834
Mg  0.467  0.933  0.833
Mg  0.400  0.000  0.667
Mg  0.199  0.000  0.332
Mg  0.067  0.734  0.166
Mg  0.667  0.133  0.167
Mg  0.200  0.600  0.000
Mg  0.400  0.600  0.667
Mg  0.267  0.533  0.833
Mg  0.200  0.400  0.667
Mg  0.200  0.400  0.333
Mg  0.000  0.601  0.000
Mg  0.067  0.734  0.834
Mg  0.000  0.801  0.668
Mg  0.800  0.400  0.667
Mg  0.400  0.800  0.667
Mg  0.467  0.133  0.167
Mg  0.200  0.600  0.667
Mg  0.067  0.933  0.500
Mg  0.067  0.533  0.833
Mg  0.467  0.533  0.833
Mg  0.400  0.600  0.333
Mg  0.667  0.734  0.166
Mg  0.000  0.600  0.333
Mg  0.667  0.333  0.500
Mg  0.267  0.733  0.500
Mg  0.867  0.533  0.167
Mg  0.400  0.400  0.667
Mg  0.067  0.333  0.166
Mg  0.800  0.400  0.333
Mg  0.600  0.200  0.333
Mg  0.600  0.800  0.667
Mg  0.067  0.333  0.500
Mg  0.667  0.733  0.500
Mg  0.800  0.400  0.000
Mg  0.866  0.333  0.500
Mg  0.267  0.533  0.167
Mg  0.601  0.000  0.000
Mg  0.467  0.333  0.833
Mg  0.601  0.800  0.000
Mg  0.266  0.333  0.834
Mg  0.266  0.333  0.166
Mg  0.399  0.200  0.000
Mg  0.866  0.134  0.167
Mg  0.065  0.935  0.163
Mg  0.800  0.200  0.667
Mg  0.600  0.400  0.667
Mg  0.467  0.133  0.833
Mg  0.867  0.333  0.833
Mg  0.800  0.601  0.000
Mg  0.800  0.000  0.668
Mg  0.000  0.399  0.000
Mg  0.667  0.933  0.166
Mg  0.000  0.600  0.667
Mg  0.600  0.000  0.667
Mg  0.600  0.000  0.333
Mg  0.000  0.000  0.333
Mg  0.399  0.000  0.000
Mg  0.200  0.600  0.333
Mg  0.467  0.134  0.500
Mg  0.866  0.733  0.167
Mg  0.067  0.133  0.500
Mg  0.467  0.333  0.167
Mg  0.267  0.333  0.500
Mg  0.467  0.333  0.500
Mg  0.267  0.134  0.833
Mg  0.804  0.804  0.000
Mg  0.065  0.131  0.837
Mg  0.800  0.200  0.000
Mg  0.601  0.601  0.000
Mg  0.800  0.200  0.333
Mg  0.200  0.800  0.333
Mg  0.000  0.000  0.667
Mg  0.267  0.533  0.500
Mg  0.667  0.133  0.833
Mg  0.000  0.400  0.667
Mg  0.266  0.933  0.166
Mg  0.867  0.133  0.500
Mg  0.400  0.800  0.333
Mg  0.800  0.600  0.333
Mg  0.399  0.399  0.000
Mg  0.065  0.131  0.163
Mg  0.000  0.804  0.000
Mg  0.267  0.933  0.500
Mg  0.266  0.933  0.834
Mg  0.600  0.400  0.333
Mg  0.866  0.533  0.500
Mg  0.800  0.600  0.667
Mg  0.400  0.400  0.333
Mg  0.467  0.733  0.500
Mg  0.267  0.134  0.167
Mg  0.667  0.533  0.500
Mg  0.667  0.533  0.833
Mg  0.196  0.000  0.000
Mg  0.667  0.533  0.167
Mg  0.000  0.196  0.000
Mg  0.267  0.733  0.833
Mg  0.467  0.733  0.167
Mg  0.667  0.933  0.500
Mg  0.067  0.533  0.167
Mg  0.600  0.600  0.333
Mg  0.400  0.800  0.000
Mg  0.600  0.800  0.333
Mg  0.867  0.933  0.500
Mg  0.667  0.134  0.500
Mg  0.869  0.935  0.163
Mg  0.866  0.134  0.833
Mg  0.200  0.800  0.000
Mg  0.869  0.935  0.837
Mg  0.800  0.801  0.332
Mg  0.400  0.200  0.667
Mg  0.600  0.200  0.000
Mg  0.467  0.533  0.500
Mg  0.065  0.935  0.837
Mg  0.400  0.600  0.000
Mg  0.199  0.200  0.332
Mg  0.267  0.133  0.500
Mg  0.667  0.333  0.834
Mg  0.000  0.200  0.332
Mg  0.067  0.733  0.500
Mg  0.867  0.333  0.167
Mg  0.000  0.801  0.332
Mg  0.866  0.733  0.833
Mg  0.667  0.333  0.166
Mg  0.600  0.200  0.667
Mg  0.600  0.600  0.667
Mg  0.867  0.733  0.500
Mg  0.400  0.200  0.333
Mg  0.199  0.000  0.668
Mg  0.267  0.733  0.167
Mg  0.800  0.000  0.332
Mg  0.067  0.333  0.834
Mg  0.200  0.800  0.667
Mg  0.467  0.933  0.167
Mg  0.000  0.200  0.668
Mg  0.667  0.933  0.834
Mg  0.200  0.399  0.000
Mg  0.600  0.400  0.000
Mg  0.400  0.000  0.333
Mg  0.800  0.801  0.668
Mg  0.199  0.200  0.668
Mg  0.867  0.533  0.833
Mg  0.196  0.196  0.000
Mg  0.804  0.000  0.000
Mg  0.467  0.533  0.167
Mg  0.467  0.934  0.500
Mg  0.000  0.400  0.333
Mg  0.467  0.733  0.833
Cr  0.000  0.000  0.000

---

(2)
Computed, not measured: Li8Al3Si5 after structural relaxation at the PBE level of DFT.

Summary:
total magnetic moment: 0.05 μB/f.u.
crystal system: cubic
VASP energy: -3.38 eV/atom

Cell: 6.259 6.259 6.259 Å, 90.00 90.00 90.00°
Element x y z (fractional)
Li  0.254  0.254  0.746
Li  0.500  0.000  0.500
Li  0.254  0.746  0.254
Li  0.000  0.500  0.500
Li  0.500  0.500  0.000
Li  0.746  0.746  0.746
Li  0.000  0.000  0.000
Li  0.746  0.254  0.254
Si  0.247  0.753  0.753
Si  0.500  0.500  0.500
Si  0.247  0.247  0.247
Si  0.753  0.753  0.247
Si  0.753  0.247  0.753
Al  0.000  0.500  0.000
Al  0.000  0.000  0.500
Al  0.500  0.000  0.000

---

(3)
Computed, not measured: Ca20Si3Ge9O44 after structural relaxation at the PBE level of DFT.

Summary:
total magnetic moment: 0.01 μB/f.u.
crystal system: triclinic
VASP energy: -6.80 eV/atom

Cell: 7.019 13.621 12.534 Å, 64.78 92.28 79.31°
Element x y z (fractional)
Ca  0.322  0.090  0.409
Ca  0.083  0.108  0.652
Ca  0.682  0.411  0.088
Ca  0.016  0.632  0.616
Ca  0.296  0.852  0.148
Ca  0.295  0.352  0.648
Ca  0.918  0.392  0.850
Ca  0.682  0.908  0.592
Ca  0.018  0.132  0.114
Ca  0.317  0.592  0.909
Ca  0.704  0.648  0.352
Ca  0.985  0.369  0.384
Ca  0.984  0.868  0.884
Ca  0.082  0.608  0.150
Ca  0.705  0.148  0.852
Ca  0.458  0.920  0.838
Ca  0.918  0.892  0.350
Ca  0.542  0.079  0.162
Ca  0.457  0.422  0.338
Ca  0.542  0.580  0.662
Ge  0.560  0.147  0.587
Ge  0.208  0.112  0.905
Ge  0.208  0.613  0.405
Ge  0.811  0.174  0.362
Ge  0.792  0.387  0.595
Ge  0.436  0.852  0.416
Ge  0.563  0.648  0.084
Ge  0.792  0.887  0.095
Ge  0.436  0.352  0.916
O  0.983  0.339  0.058
O  0.030  0.162  0.447
O  0.419  0.044  0.627
O  0.718  0.810  0.793
O  0.701  0.453  0.441
O  0.013  0.297  0.597
O  0.013  0.797  0.096
O  0.633  0.832  0.198
O  0.233  0.898  0.310
O  0.988  0.203  0.903
O  0.145  0.009  0.865
O  0.856  0.990  0.135
O  0.579  0.955  0.376
O  0.588  0.220  0.988
O  0.345  0.885  0.540
O  0.412  0.780  0.012
O  0.345  0.385  0.040
O  0.633  0.332  0.699
O  0.412  0.280  0.512
O  0.701  0.953  0.940
O  0.420  0.546  0.123
O  0.579  0.455  0.876
O  0.983  0.840  0.557
O  0.299  0.547  0.560
O  0.768  0.602  0.190
O  0.282  0.190  0.207
O  0.144  0.510  0.365
O  0.855  0.491  0.636
O  0.715  0.319  0.289
O  0.299  0.047  0.059
O  0.837  0.107  0.270
O  0.232  0.399  0.810
O  0.589  0.720  0.488
O  0.017  0.661  0.943
O  0.837  0.613  0.777
O  0.768  0.102  0.690
O  0.163  0.887  0.724
O  0.163  0.387  0.223
O  0.655  0.615  0.960
O  0.367  0.168  0.801
O  0.367  0.668  0.302
O  0.987  0.703  0.404
O  0.645  0.110  0.465
O  0.282  0.690  0.707
Si  0.811  0.674  0.864
Si  0.190  0.326  0.137
Si  0.189  0.826  0.636